[1]
LiMg14C | PBE | relaxed

Lattice parameters (Å, degrees): 9.761 6.284 6.284 61.40 90.00 90.00
Fractional positions:
Li 0.000 0.000 0.000
Mg 0.000 0.473 0.949
Mg 0.000 0.949 0.473
Mg 0.208 0.203 0.667
Mg 0.208 0.667 0.203
Mg 0.248 0.678 0.678
Mg 0.255 0.177 0.177
Mg 0.500 0.004 0.004
Mg 0.500 0.010 0.516
Mg 0.500 0.506 0.506
Mg 0.500 0.516 0.010
Mg 0.745 0.177 0.177
Mg 0.752 0.678 0.678
Mg 0.792 0.203 0.667
Mg 0.792 0.667 0.203
C 0.000 0.549 0.549

Symmetry: Amm2
Formation energy from the elements: 0.22 eV per atom
Raw total energy: -1.878 eV per atom

***

[2]
LiMg6CO8 | PBE | relaxed

Lattice parameters (Å, degrees): 4.165 4.165 8.461 90.00 90.00 90.00
Fractional positions:
Li 0.000 0.000 0.000
Mg 0.000 0.000 0.500
Mg 0.000 0.500 0.239
Mg 0.000 0.500 0.761
Mg 0.500 0.000 0.239
Mg 0.500 0.000 0.761
Mg 0.500 0.500 0.500
C 0.500 0.500 0.000
O 0.000 0.000 0.255
O 0.000 0.000 0.745
O 0.000 0.500 0.000
O 0.000 0.500 0.500
O 0.500 0.000 0.000
O 0.500 0.000 0.500
O 0.500 0.500 0.228
O 0.500 0.500 0.772

Symmetry: P4/mmm
Formation energy from the elements: -2.26 eV per atom
Raw total energy: -5.685 eV per atom

***

[3]
LiMg6CO8 | PBE | relaxed

Lattice parameters (Å, degrees): 4.221 4.221 8.281 90.00 90.00 90.00
Fractional positions:
Li 0.000 0.000 0.000
Mg 0.000 0.500 0.248
Mg 0.000 0.500 0.752
Mg 0.500 0.000 0.248
Mg 0.500 0.000 0.752
Mg 0.500 0.500 0.000
Mg 0.500 0.500 0.500
C 0.000 0.000 0.500
O 0.000 0.000 0.293
O 0.000 0.000 0.707
O 0.000 0.500 0.000
O 0.000 0.500 0.500
O 0.500 0.000 0.000
O 0.500 0.000 0.500
O 0.500 0.500 0.253
O 0.500 0.500 0.747

Symmetry: P4/mmm
Formation energy from the elements: -2.29 eV per atom
Raw total energy: -5.717 eV per atom

***

[4]
LiC2N3 | PBE | relaxed

Lattice parameters (Å, degrees): 5.370 5.316 11.944 90.00 101.34 90.00
Fractional positions:
Li 0.000 0.000 0.000
Li 0.000 0.000 0.500
Li 0.000 0.087 0.250
Li 0.000 0.913 0.750
C 0.241 0.497 0.117
C 0.241 0.503 0.617
C 0.456 0.202 0.890
C 0.456 0.798 0.390
C 0.544 0.202 0.610
C 0.544 0.798 0.110
C 0.759 0.497 0.383
C 0.759 0.503 0.883
N 0.157 0.301 0.137
N 0.157 0.699 0.637
N 0.251 0.111 0.876
N 0.251 0.889 0.376
N 0.311 0.281 0.589
N 0.311 0.719 0.089
N 0.689 0.281 0.911
N 0.689 0.719 0.411
N 0.749 0.111 0.624
N 0.749 0.889 0.124
N 0.843 0.301 0.363
N 0.843 0.699 0.863

Symmetry: P2/c
Formation energy from the elements: -0.26 eV per atom
Raw total energy: -7.646 eV per atom

***

[5]
LiCN | PBE | relaxed

Lattice parameters (Å, degrees): 8.818 3.732 6.596 90.00 90.00 90.00
Fractional positions:
Li 0.125 0.250 0.025
Li 0.375 0.750 0.525
Li 0.625 0.250 0.475
Li 0.875 0.750 0.975
C 0.193 0.750 0.738
C 0.307 0.250 0.238
C 0.693 0.750 0.762
C 0.807 0.250 0.262
N 0.094 0.750 0.858
N 0.406 0.250 0.358
N 0.594 0.750 0.642
N 0.906 0.250 0.142

Symmetry: Pnma
Formation energy from the elements: -0.38 eV per atom
Raw total energy: -6.751 eV per atom

***

[6]
LiCNO | PBE | relaxed

Lattice parameters (Å, degrees): 5.126 5.126 5.126 37.41 37.41 37.41
Fractional positions:
Li 0.000 0.000 0.000
C 0.492 0.492 0.492
N 0.409 0.409 0.409
O 0.578 0.578 0.578

Symmetry: R3m
Formation energy from the elements: -1.15 eV per atom
Raw total energy: -7.086 eV per atom

***

[7]
LiYC2N4 | PBE | relaxed

Lattice parameters (Å, degrees): 9.864 7.094 6.222 90.00 90.00 90.00
Fractional positions:
Li 0.000 0.113 0.250
Li 0.000 0.887 0.750
Li 0.500 0.387 0.750
Li 0.500 0.613 0.250
Y 0.000 0.361 0.750
Y 0.000 0.639 0.250
Y 0.500 0.139 0.250
Y 0.500 0.861 0.750
C 0.250 0.114 0.582
C 0.250 0.386 0.082
C 0.250 0.614 0.582
C 0.250 0.886 0.082
C 0.750 0.114 0.918
C 0.750 0.386 0.418
C 0.750 0.614 0.918
C 0.750 0.886 0.418
N 0.124 0.394 0.072
N 0.124 0.606 0.572
N 0.126 0.120 0.592
N 0.126 0.880 0.092
N 0.374 0.380 0.092
N 0.374 0.620 0.592
N 0.376 0.106 0.572
N 0.376 0.894 0.072
N 0.624 0.106 0.928
N 0.624 0.894 0.428
N 0.626 0.380 0.408
N 0.626 0.620 0.908
N 0.874 0.120 0.908
N 0.874 0.880 0.408
N 0.876 0.394 0.428
N 0.876 0.606 0.928

Symmetry: Pbcn
Formation energy from the elements: -0.92 eV per atom
Raw total energy: -8.261 eV per atom

***

[8]
LiC2O5 | PBE | relaxed

Lattice parameters (Å, degrees): 3.675 5.951 6.889 72.99 84.35 86.33
Fractional positions:
Li 0.000 0.000 0.000
C 0.026 0.151 0.427
C 0.621 0.556 0.642
O 0.127 0.083 0.591
O 0.483 0.644 0.489
O 0.505 0.957 0.995
O 0.762 0.466 0.793
O 0.922 0.220 0.263

Symmetry: P1
Formation energy from the elements: -1.51 eV per atom
Raw total energy: -6.723 eV per atom